Computed, not measured: a geometry-optimized La17Al4Si9N33 structure at the PBE level of DFT.

Properties
- Energy: -8.08 eV/atom
- M_tot: 0.00 μB/f.u.
- Calculated density: 5.7 Mg/m³

Cell: 10.925 10.925 10.925 Å, 60.00 60.00 60.00°
Fractional coordinates of all 63 atoms:
1 La 0.258 0.742 0.258
2 La 0.042 0.042 0.458
3 La 0.742 0.258 0.742
4 La 0.663 0.663 0.012
5 La 0.042 0.458 0.458
6 La 0.458 0.458 0.042
7 La 0.663 0.012 0.663
8 La 0.742 0.258 0.258
9 La 0.458 0.042 0.042
10 La 0.500 0.500 0.500
11 La 0.042 0.458 0.042
12 La 0.742 0.742 0.258
13 La 0.258 0.742 0.742
14 La 0.012 0.663 0.663
15 La 0.458 0.042 0.458
16 La 0.663 0.663 0.663
17 La 0.258 0.258 0.742
18 N 0.995 0.283 0.727
19 N 0.785 0.492 0.492
20 N 0.492 0.231 0.492
21 N 0.492 0.492 0.785
22 N 0.785 0.231 0.492
23 N 0.283 0.995 0.727
24 N 0.995 0.727 0.995
25 N 0.727 0.995 0.283
26 N 0.231 0.785 0.492
27 N 0.231 0.492 0.785
28 N 0.820 0.820 0.820
29 N 0.820 0.541 0.820
30 N 0.995 0.995 0.727
31 N 0.492 0.492 0.231
32 N 0.995 0.283 0.995
33 N 0.315 0.054 0.315
34 N 0.054 0.315 0.315
35 N 0.231 0.492 0.492
36 N 0.820 0.820 0.541
37 N 0.000 0.000 0.000
38 N 0.785 0.492 0.231
39 N 0.315 0.315 0.054
40 N 0.492 0.231 0.785
41 N 0.492 0.785 0.492
42 N 0.283 0.995 0.995
43 N 0.283 0.727 0.995
44 N 0.492 0.785 0.231
45 N 0.727 0.995 0.995
46 N 0.315 0.315 0.315
47 N 0.541 0.820 0.820
48 N 0.727 0.283 0.995
49 N 0.995 0.995 0.283
50 N 0.995 0.727 0.283
51 Si 0.383 0.383 0.383
52 Si 0.383 0.850 0.383
53 Si 0.885 0.885 0.885
54 Si 0.885 0.885 0.346
55 Si 0.850 0.383 0.383
56 Si 0.383 0.383 0.850
57 Si 0.885 0.346 0.885
58 Si 0.250 0.250 0.250
59 Si 0.346 0.885 0.885
60 Al 0.071 0.787 0.071
61 Al 0.071 0.071 0.787
62 Al 0.071 0.071 0.071
63 Al 0.787 0.071 0.071